This record from the Materials Project database describes a relaxed structure of V2Cu5O10. The functional is PBE+U.

POSCAR file:
```
V2Cu5O10
1.0
8.443 0.000 0.000
0.000 6.334 0.000
-5.185 0.000 15.643
V Cu O
8 20 40
Cartesian
-1.481 1.196 6.165 V
-4.074 1.971 13.986 V
1.564 1.075 2.597 V
-1.029 2.091 10.418 V
4.287 4.242 5.225 V
1.694 5.258 13.046 V
7.332 4.363 1.657 V
4.739 5.137 9.478 V
-0.629 4.474 5.120 Cu
-3.221 5.026 12.941 Cu
1.870 4.623 0.299 Cu
-0.723 4.877 8.121 Cu
1.730 3.985 3.430 Cu
-0.862 5.515 11.251 Cu
-0.956 0.479 14.069 Cu
1.637 2.688 6.248 Cu
-0.756 3.620 14.235 Cu
1.836 5.880 6.414 Cu
1.422 0.454 9.229 Cu
4.014 2.713 1.408 Cu
1.621 3.646 9.395 Cu
4.214 5.855 1.574 Cu
4.120 0.819 4.391 Cu
1.527 2.348 12.213 Cu
3.980 1.457 7.522 Cu
1.388 1.710 15.344 Cu
6.479 1.307 2.702 Cu
3.886 1.859 10.523 Cu
-0.024 4.744 0.410 O
-2.616 4.756 8.231 O
-0.111 0.950 2.754 O
-2.704 2.217 10.576 O
-0.198 4.215 3.170 O
-2.790 5.285 10.991 O
-3.276 3.554 14.311 O
-0.684 5.946 6.489 O
-2.834 0.723 13.925 O
-0.241 2.444 6.103 O
-0.575 0.480 9.788 O
2.018 2.686 1.967 O
-0.300 3.413 9.406 O
2.292 6.087 1.585 O
1.326 4.371 5.331 O
-1.267 5.129 13.152 O
2.212 0.981 4.221 O
-0.380 2.185 12.042 O
3.802 4.364 0.446 O
1.210 5.137 8.267 O
2.048 1.197 7.376 O
-0.544 1.970 15.197 O
3.638 4.148 3.601 O
1.045 5.352 11.422 O
4.524 1.205 2.490 O
1.932 1.962 10.312 O
0.966 0.246 14.058 O
3.558 2.920 6.237 O
1.240 3.647 13.676 O
3.832 5.853 5.855 O
3.499 3.889 9.539 O
6.092 5.611 1.718 O
3.942 0.387 9.154 O
6.534 2.780 1.332 O
6.048 1.049 4.651 O
3.455 2.118 12.473 O
5.961 4.117 5.067 O
3.369 5.384 12.888 O
5.874 1.577 7.411 O
3.282 1.589 15.233 O
```



This record from the Materials Project database describes a relaxed structure of CaMnSi4O10. The functional is PBE+U.

POSCAR file:
```
CaMnSi4O10
1.0
7.549 0.000 0.000
0.000 7.549 0.000
0.000 0.000 15.365
Ca Mn Si O
4 4 16 40
Cartesian
1.887 5.661 0.000 Ca
1.887 5.661 7.683 Ca
5.661 1.887 0.000 Ca
5.661 1.887 7.683 Ca
1.887 1.887 1.210 Mn
1.887 1.887 8.892 Mn
5.661 5.661 6.473 Mn
5.661 5.661 14.156 Mn
0.024 0.614 5.407 Si
0.024 3.160 13.089 Si
0.614 0.024 13.089 Si
0.614 3.751 5.407 Si
3.160 0.024 5.407 Si
3.160 3.751 13.089 Si
3.751 0.614 13.089 Si
3.751 3.160 5.407 Si
3.798 4.389 9.959 Si
3.798 6.934 2.276 Si
4.389 3.798 2.276 Si
4.389 7.525 9.959 Si
6.934 3.798 9.959 Si
6.934 7.525 2.276 Si
7.525 4.389 2.276 Si
7.525 6.934 9.959 Si
0.033 1.536 13.382 O
0.033 2.239 5.699 O
0.044 4.853 6.418 O
0.044 6.470 14.101 O
0.319 4.093 3.841 O
0.319 7.229 11.524 O
1.079 3.818 1.264 O
1.079 7.505 8.947 O
1.536 0.033 5.699 O
1.536 3.742 13.382 O
2.239 0.033 13.382 O
2.239 3.742 5.699 O
2.695 3.818 8.947 O
2.695 7.505 1.264 O
3.455 4.093 11.524 O
3.455 7.229 3.841 O
3.731 4.853 14.101 O
3.731 6.470 6.418 O
3.742 1.536 5.699 O
3.742 2.239 13.382 O
3.807 5.310 1.984 O
3.807 6.013 9.666 O
3.818 1.079 8.947 O
3.818 2.695 1.264 O
4.093 0.319 11.524 O
4.093 3.455 3.841 O
4.853 0.044 14.101 O
4.853 3.731 6.418 O
5.310 3.807 9.666 O
5.310 7.516 1.984 O
6.013 3.807 1.984 O
6.013 7.516 9.666 O
6.470 0.044 6.418 O
6.470 3.731 14.101 O
7.229 0.319 3.841 O
7.229 3.455 11.524 O
7.505 1.079 1.264 O
7.505 2.695 8.947 O
7.516 5.310 9.666 O
7.516 6.013 1.984 O
```



This record from the Materials Project database describes a relaxed structure of Ca2MnNiO6. The functional is PBE+U.

POSCAR file:
```
Ca2MnNiO6
1.0
4.410 -4.656 0.000
4.410 4.656 0.000
-0.678 0.000 6.262
Ca Mn Ni O
4 2 2 12
Cartesian
0.000 0.000 0.000 Ca
2.277 1.629 5.367 Ca
5.866 1.629 0.896 Ca
4.072 -2.481 3.131 Ca
1.705 -1.293 4.689 Mn
6.438 -1.293 1.573 Mn
4.072 3.354 3.131 Ni
4.410 -1.330 0.000 Ni
0.621 0.248 4.259 O
3.771 2.565 1.292 O
4.372 2.565 4.970 O
2.511 -0.955 0.317 O
1.606 -1.820 2.900 O
3.343 -0.320 4.721 O
4.800 -0.320 1.542 O
2.926 -2.724 5.184 O
5.632 -0.955 5.945 O
7.522 0.248 2.003 O
5.217 -2.724 1.078 O
6.537 -1.820 3.362 O
```



This record from the Materials Project database describes a relaxed structure of FeH12C2S2O12F6. The functional is PBE+U.

POSCAR file:
```
FeH12C2S2O12F6
1.0
9.401 -3.526 0.000
9.401 3.526 0.000
-1.596 0.000 6.478
Fe H C S O F
1 12 2 2 12 6
Cartesian
0.000 0.000 0.000 Fe
7.647 2.728 2.010 H
6.721 1.695 4.603 H
9.560 2.728 4.468 H
6.219 1.318 6.076 H
10.485 1.695 1.875 H
10.987 1.318 0.402 H
6.219 -1.318 6.076 H
6.721 -1.695 4.603 H
10.987 -1.318 0.402 H
7.647 -2.728 2.010 H
10.485 -1.695 1.875 H
9.560 -2.728 4.468 H
4.707 0.000 1.887 C
12.499 0.000 4.592 C
6.581 0.000 2.040 S
10.625 0.000 4.438 S
-0.281 0.000 4.837 O
6.642 2.014 5.530 O
6.887 1.230 2.776 O
10.564 2.014 0.949 O
7.058 0.000 0.650 O
10.319 1.230 3.703 O
6.887 -1.230 2.776 O
10.148 0.000 5.828 O
6.642 -2.014 5.530 O
10.319 -1.230 3.703 O
10.564 -2.014 0.949 O
17.487 0.000 1.642 O
4.290 1.100 1.226 F
4.163 0.000 3.129 F
4.290 -1.100 1.226 F
12.916 1.100 5.252 F
13.043 0.000 3.350 F
12.916 -1.100 5.252 F
```



This record from the Materials Project database describes a relaxed structure of ScNiBO4. The functional is PBE+U.

POSCAR file:
```
ScNiBO4
1.0
3.232 0.000 0.000
0.000 9.578 0.000
0.000 0.000 9.421
Sc Ni B O
4 4 4 16
Cartesian
0.000 0.541 0.000 Sc
0.000 3.132 4.617 Sc
0.000 6.445 9.328 Sc
0.000 9.037 4.711 Sc
1.616 1.774 6.803 Ni
1.616 4.269 1.913 Ni
1.616 5.308 6.624 Ni
1.616 7.804 2.093 Ni
0.000 3.579 8.779 B
0.000 5.998 4.069 B
1.616 1.229 2.548 B
1.616 8.349 7.259 B
0.000 1.257 5.552 O
0.000 2.320 8.157 O
0.000 3.685 0.724 O
0.000 4.747 7.997 O
0.000 4.830 3.286 O
0.000 5.893 5.434 O
0.000 7.258 3.447 O
0.000 8.321 0.841 O
1.616 0.040 3.296 O
1.616 1.122 1.175 O
1.616 2.464 3.147 O
1.616 3.517 5.748 O
1.616 6.061 1.037 O
1.616 7.114 7.857 O
1.616 8.456 5.886 O
1.616 9.538 8.007 O
```



This record from the Materials Project database describes a relaxed structure of LiFe4B4O12. The functional is PBE+U.

POSCAR file:
```
LiFe4B4O12
1.0
5.252 0.000 0.000
0.158 9.149 0.000
2.589 4.479 10.172
Li Fe B O
2 8 8 24
Cartesian
0.000 0.000 0.000 Li
0.771 1.415 2.677 Li
2.670 7.546 9.997 Fe
0.935 7.464 2.430 Fe
2.811 10.629 4.959 Fe
3.547 9.014 7.499 Fe
5.335 12.027 10.057 Fe
3.495 2.993 2.338 Fe
5.301 6.023 4.940 Fe
6.067 4.420 7.494 Fe
2.685 10.573 9.959 B
0.900 4.446 2.471 B
2.656 7.553 4.961 B
3.631 12.076 7.531 B
5.254 5.862 10.094 B
3.584 9.159 2.310 B
5.229 2.980 4.889 B
6.193 7.494 7.458 B
1.326 7.477 4.548 O
2.269 7.569 7.870 O
2.627 3.968 7.701 O
0.849 7.205 0.225 O
3.347 9.453 9.491 O
3.915 5.878 10.152 O
3.216 10.898 6.915 O
2.253 4.359 2.420 O
3.114 8.791 5.453 O
2.909 10.289 2.867 O
3.502 6.508 4.893 O
2.774 8.126 1.843 O
4.944 12.143 7.999 O
3.917 2.893 4.423 O
3.483 2.415 0.400 O
5.350 8.542 7.516 O
5.957 4.721 9.574 O
5.736 6.253 6.972 O
6.584 10.663 9.998 O
5.636 4.140 5.524 O
4.936 9.151 2.194 O
5.498 5.567 2.947 O
5.399 3.330 2.044 O
6.245 11.095 4.669 O
```

Output
Energy above the most stable polymorph in this dataset   6 meV per atom



This record from the Materials Project database describes a relaxed structure of Mn5P6WO24. The functional is PBE+U.

POSCAR file:
```
Mn5P6WO24
1.0
4.384 2.531 7.146
-4.384 2.531 7.146
0.000 -5.063 7.146
Mn P W O
5 6 1 24
Cartesian
0.000 0.000 0.000 Mn
0.000 0.000 2.985 Mn
0.000 0.000 10.797 Mn
0.000 0.000 13.898 Mn
0.000 0.000 17.016 Mn
-1.303 -2.246 8.572 P
-3.050 -0.315 12.124 P
-1.294 2.252 8.572 P
1.797 -2.484 12.124 P
2.597 -0.006 8.572 P
1.252 2.798 12.124 P
0.000 0.000 6.262 W
-3.541 -0.899 10.828 O
-1.506 0.056 4.981 O
-0.627 -3.635 8.628 O
-3.473 -1.008 13.406 O
-0.709 -1.432 7.303 O
0.705 -1.333 4.981 O
-2.834 2.361 8.628 O
-0.914 -1.481 9.816 O
-0.886 1.330 7.303 O
-1.523 -0.072 12.238 O
0.802 1.276 4.981 O
-0.826 1.532 9.816 O
1.595 0.102 7.303 O
-0.618 -1.470 15.429 O
0.824 -1.283 12.238 O
2.549 -2.617 10.828 O
1.740 -0.051 9.816 O
-0.964 1.271 15.429 O
0.699 1.355 12.238 O
2.609 -2.504 13.406 O
0.992 3.516 10.828 O
3.461 1.274 8.628 O
1.582 0.199 15.429 O
0.864 3.512 13.406 O
```



This record from the Materials Project database describes a relaxed structure of La2WO6. The functional is PBE+U.

POSCAR file:
```
La2WO6
1.0
2.986 1.724 4.498
-2.986 1.724 4.498
0.000 -3.448 4.498
La W O
2 1 6
Cartesian
0.000 0.000 3.359 La
0.000 0.000 10.134 La
0.000 0.000 0.000 W
-2.052 0.423 5.612 O
-1.392 -1.566 7.881 O
0.660 -1.989 5.612 O
-0.660 1.989 7.881 O
1.392 1.566 5.612 O
2.052 -0.423 7.881 O
```



Number 1: E (MP2020) -6.66 eV per atom, ΔH_f (0 K) -1.48 eV/atom, size of the total moment 3.00 μB/f.u.. Number 2: E (MP2020) -8.29 eV per atom, ΔH_f (0 K) -3.15 eV/atom, size of the total moment 5.04 μB/f.u.. Number 3: E (MP2020) -6.86 eV per atom, ΔH_f (0 K) -1.99 eV/atom, size of the total moment 5.00 μB/f.u.. Number 4: E (MP2020) -5.74 eV per atom, ΔH_f (0 K) -1.54 eV/atom, size of the total moment 4.00 μB/f.u.. Number 5: E (MP2020) -8.31 eV per atom, ΔH_f (0 K) -2.79 eV/atom, size of the total moment 0.00 μB/f.u.. Number 6: E (MP2020) -8.03 eV per atom, ΔH_f (0 K) -2.23 eV/atom, size of the total moment 19.00 μB/f.u.. Number 7: E (MP2020) -8.29 eV per atom, ΔH_f (0 K) -2.45 eV/atom, size of the total moment 23.00 μB/f.u.. Number 8: E (MP2020) -9.00 eV per atom, ΔH_f (0 K) -3.16 eV/atom, size of the total moment 0.00 μB/f.u..